## NaMg3NbS6O24 (GGA-PBE)

Data for NaMg3NbS6O24 after structural relaxation.

Structure (POSCAR):
```
NaMg3NbS6O24
1.0
-6.922 2.203 -4.794
2.638 -8.290 0.282
-13.486 -3.686 17.780
Na Mg Nb S O
3 9 3 18 72
Cartesian
-0.039 -0.011 0.052 Na
-15.012 -4.377 11.765 Na
-8.113 -2.491 2.669 Na
-4.678 -1.279 6.167 Mg
-11.547 -3.156 15.223 Mg
-2.116 -0.578 2.790 Mg
-12.980 -3.821 9.086 Mg
-6.300 -1.995 0.279 Mg
-16.983 -4.915 14.363 Mg
-10.201 -3.061 5.422 Mg
-4.634 -5.909 3.976 Mg
-11.506 -7.787 13.036 Mg
-8.729 -2.386 11.508 Nb
-0.886 -4.884 -0.965 Nb
-7.490 -6.689 7.742 Nb
-5.415 -0.305 3.052 S
-6.432 -5.211 1.264 S
-9.516 -1.142 -0.232 S
-11.414 -4.540 12.050 S
-15.188 -6.428 8.796 S
-15.045 -1.235 9.981 S
-13.601 -2.829 5.892 S
-10.386 -1.682 8.568 S
-10.835 -5.827 7.368 S
-6.035 -3.403 -2.908 S
-5.664 0.769 -1.762 S
-2.847 -2.161 -0.233 S
-14.907 -7.512 13.476 S
-11.640 -6.406 16.184 S
-12.138 -10.581 14.940 S
-7.375 -8.121 4.599 S
-6.904 -3.865 5.838 S
-4.067 -6.954 7.350 S
-5.498 -0.926 4.396 O
-7.703 -5.834 1.706 O
-10.321 -0.489 0.828 O
-11.804 -3.966 13.332 O
-15.446 -7.392 9.859 O
-16.448 -1.406 10.340 O
-12.371 -8.940 8.805 O
-10.110 -3.795 11.586 O
-7.346 -9.343 12.533 O
-5.984 -5.705 -0.053 O
-2.247 -2.425 3.461 O
-1.386 -8.424 2.870 O
-13.720 -3.430 7.211 O
-11.628 -2.277 9.037 O
-11.631 -5.220 8.424 O
-6.545 -2.842 -1.682 O
-5.906 -0.085 -0.626 O
-4.200 -2.444 0.180 O
-2.722 -1.623 -1.588 O
-4.825 -2.758 -3.418 O
-4.804 0.186 -2.792 O
-9.889 -2.224 7.319 O
-10.564 -4.958 6.240 O
-12.240 -2.574 5.463 O
-14.950 -8.092 14.885 O
-12.912 -7.114 16.634 O
-13.018 -9.894 15.977 O
-7.785 -7.565 6.079 O
-7.290 -4.951 6.996 O
-5.628 -7.068 7.818 O
-4.117 -6.338 6.049 O
-6.137 -7.457 4.285 O
-6.137 -4.611 4.875 O
-11.227 -6.911 14.875 O
-11.806 -9.642 13.870 O
-13.518 -7.364 13.044 O
-3.593 -8.317 7.426 O
-8.529 -7.801 3.790 O
-6.223 -2.822 6.570 O
-11.994 -4.970 16.153 O
-10.945 -11.030 15.691 O
-15.660 -8.476 12.645 O
-14.333 -1.484 5.904 O
-9.305 -1.918 9.628 O
-11.589 -7.047 6.832 O
-5.870 -4.857 -2.926 O
-6.850 1.362 -2.380 O
-2.049 -1.362 0.697 O
-14.388 -2.548 9.919 O
-12.442 -4.244 11.043 O
-14.411 -5.300 9.330 O
-6.693 -3.747 1.201 O
-8.278 -1.632 0.437 O
-6.154 -1.216 2.134 O
-15.550 -6.187 13.482 O
-17.491 -4.472 12.365 O
-15.511 -3.431 14.083 O
-9.814 -1.266 4.535 O
-8.206 -3.466 5.299 O
-10.400 -3.855 3.554 O
-2.127 -3.567 -0.286 O
-0.220 -5.308 0.799 O
-2.205 -6.296 -0.911 O
-7.915 -8.489 8.790 O
-9.581 -6.376 7.965 O
-7.426 -5.873 9.703 O
-3.406 -7.272 3.338 O
-5.362 -5.486 2.225 O
-3.325 -4.472 3.980 O
-11.054 -5.946 12.100 O
-9.443 -8.212 12.852 O
-11.686 -8.564 11.078 O
```

Computed properties:
- Magnetization: 0.00 μB/f.u.
- Energy of formation from the pure elements: -2.28 eV/atom
- Mass density: 2.57 g/cm³

***

## Na3Mg5NbS9O36 (GGA-PBE)

Data for Na3Mg5NbS9O36 after structural relaxation.

Structure (POSCAR):
```
Na3Mg5NbS9O36
1.0
8.673 0.000 0.000
-4.336 7.511 0.000
0.000 0.000 22.788
Na Mg Nb S O
6 10 2 18 72
Cartesian
0.000 0.000 11.507 Na
0.000 0.000 0.113 Na
4.336 2.504 18.990 Na
4.336 2.504 7.596 Na
0.000 5.007 3.591 Na
0.000 5.007 14.986 Na
0.000 0.000 8.012 Mg
0.000 0.000 19.406 Mg
0.000 0.000 14.690 Mg
0.000 0.000 3.296 Mg
4.336 2.504 15.484 Mg
4.336 2.504 4.089 Mg
4.336 2.504 22.482 Mg
4.336 2.504 11.088 Mg
0.000 5.007 0.510 Mg
0.000 5.007 11.904 Mg
0.000 5.007 7.147 Nb
0.000 5.007 18.541 Nb
2.504 0.050 5.709 S
3.127 5.317 5.709 S
7.378 2.144 5.709 S
1.295 2.144 17.104 S
5.545 5.317 17.104 S
6.169 0.050 17.104 S
6.875 2.501 13.293 S
3.064 0.306 13.293 S
3.069 4.704 13.293 S
5.603 4.704 1.899 S
5.608 0.306 1.899 S
1.797 2.501 1.899 S
2.544 5.013 20.929 S
-1.267 2.801 20.929 S
-1.277 7.207 20.929 S
1.277 7.207 9.535 S
1.267 2.801 9.535 S
-2.544 5.013 9.535 S
1.716 0.194 6.928 O
3.646 5.928 6.928 O
7.647 1.389 6.928 O
1.026 1.389 18.322 O
5.027 5.928 18.322 O
6.957 0.194 18.322 O
2.610 7.261 15.911 O
0.647 1.620 15.911 O
-3.257 6.140 15.911 O
3.257 6.140 4.516 O
-0.647 1.620 4.516 O
-2.610 7.261 4.516 O
6.066 2.703 14.505 O
3.644 0.906 14.505 O
3.299 3.902 14.505 O
5.374 3.902 3.111 O
5.029 0.906 3.111 O
2.606 2.703 3.111 O
2.608 2.301 0.684 O
5.025 4.102 0.684 O
5.376 1.108 0.684 O
3.296 1.108 12.078 O
3.648 4.102 12.078 O
6.065 2.301 12.078 O
1.682 5.206 22.081 O
-0.669 3.451 22.081 O
-1.013 6.364 22.081 O
1.013 6.364 10.687 O
0.669 3.451 10.687 O
-1.682 5.206 10.687 O
-1.628 4.845 8.274 O
0.674 6.498 8.274 O
0.954 3.679 8.274 O
-0.954 3.679 19.668 O
-0.674 6.498 19.668 O
1.627 4.845 19.668 O
-3.359 6.210 9.304 O
2.721 7.314 9.304 O
0.637 1.497 9.304 O
-0.637 1.497 20.698 O
-2.721 7.314 20.698 O
3.359 6.210 20.698 O
7.733 1.292 13.430 O
1.588 0.168 13.430 O
3.687 6.051 13.430 O
4.985 6.051 2.036 O
7.084 0.168 2.036 O
0.939 1.292 2.036 O
5.245 1.179 16.966 O
2.735 2.379 16.966 O
5.029 3.953 16.966 O
3.643 3.953 5.572 O
5.938 2.379 5.572 O
3.428 1.179 5.572 O
3.341 3.784 20.961 O
5.943 2.725 20.961 O
3.725 1.001 20.961 O
4.947 1.001 9.567 O
2.730 2.725 9.567 O
5.332 3.784 9.567 O
0.939 3.710 1.763 O
-1.593 4.843 1.763 O
0.654 6.469 1.763 O
-0.654 6.469 13.158 O
1.593 4.843 13.158 O
-0.939 3.710 13.158 O
-0.932 6.289 5.915 O
1.576 5.173 5.915 O
-0.645 3.559 5.915 O
0.645 3.559 17.309 O
-1.576 5.173 17.309 O
0.932 6.289 17.309 O
```

Computed properties:
- Magnetization: 0.00 μB/f.u.
- Energy of formation from the pure elements: -2.31 eV/atom
- Mass density: 2.57 g/cm³